The following is a DFT calculation (PBE+U) of an optimized crystal structure of MgCr2N2O14. Values from VASP.

Geometry as Quantum ESPRESSO input:
```
&SYSTEM
  ibrav = 0, nat = 38, ntyp = 4
/
ATOMIC_SPECIES
Mg 24.30 Mg.upf
Cr 52.00 Cr.upf
N 14.01 N.upf
O 16.00 O.upf
CELL_PARAMETERS angstrom
-7.203 11.038 -2.590
-3.282 -3.279 -4.845
-8.003 -4.188 4.409
ATOMIC_POSITIONS crystal
Mg 0.500 0.500 0.500
Mg 0.000 0.500 0.000
Cr 0.360 0.761 0.903
Cr 0.640 0.239 0.097
Cr 0.860 0.239 0.597
Cr 0.140 0.761 0.403
N 0.649 0.860 0.870
N 0.351 0.140 0.130
N 0.149 0.140 0.630
N 0.851 0.860 0.370
O 0.321 0.531 0.886
O 0.679 0.469 0.114
O 0.821 0.469 0.614
O 0.179 0.531 0.386
O 0.080 0.706 0.554
O 0.920 0.294 0.446
O 0.580 0.294 0.946
O 0.420 0.706 0.054
O 0.408 0.349 0.650
O 0.592 0.651 0.350
O 0.908 0.651 0.850
O 0.092 0.349 0.150
O 0.436 0.882 0.773
O 0.564 0.118 0.227
O 0.936 0.118 0.727
O 0.064 0.882 0.273
O 0.098 0.473 0.857
O 0.902 0.527 0.143
O 0.598 0.527 0.643
O 0.402 0.473 0.357
O 0.438 0.768 0.503
O 0.562 0.232 0.497
O 0.938 0.232 0.997
O 0.062 0.768 0.003
O 0.265 0.920 0.901
O 0.735 0.080 0.099
O 0.765 0.080 0.599
O 0.235 0.920 0.401
```

Results
spin magnetization = 19.98 μB/f.u.
DFT total energy = -4.55 eV/atom
energy relative to the elements = 0.360 eV/atom

---

The following is a DFT calculation (PBE+U) of an optimized crystal structure of Cr3Fe2O15. Values from VASP.

Geometry as Quantum ESPRESSO input:
```
&SYSTEM
  ibrav = 0, nat = 80, ntyp = 3
/
ATOMIC_SPECIES
Cr 52.00 Cr.upf
Fe 55.84 Fe.upf
O 16.00 O.upf
CELL_PARAMETERS angstrom
5.610 0.000 0.000
0.000 14.794 0.000
0.000 4.927 17.034
ATOMIC_POSITIONS crystal
Cr 0.876 0.392 0.116
Cr 0.376 0.108 0.884
Cr 0.124 0.608 0.884
Cr 0.624 0.892 0.116
Cr 0.923 0.158 0.446
Cr 0.423 0.342 0.554
Cr 0.077 0.842 0.554
Cr 0.577 0.658 0.446
Cr 0.380 0.162 0.106
Cr 0.880 0.338 0.894
Cr 0.620 0.838 0.894
Cr 0.120 0.662 0.106
Fe 0.884 0.094 0.012
Fe 0.384 0.406 0.988
Fe 0.116 0.906 0.988
Fe 0.616 0.594 0.012
Fe 0.673 0.373 0.370
Fe 0.173 0.127 0.630
Fe 0.327 0.627 0.630
Fe 0.827 0.873 0.370
O 0.527 0.336 0.460
O 0.027 0.164 0.540
O 0.473 0.664 0.540
O 0.973 0.836 0.460
O 0.622 0.101 0.087
O 0.122 0.399 0.913
O 0.378 0.899 0.913
O 0.878 0.601 0.087
O 0.671 0.107 0.453
O 0.171 0.393 0.547
O 0.329 0.893 0.547
O 0.829 0.607 0.453
O 0.634 0.447 0.057
O 0.134 0.053 0.943
O 0.366 0.553 0.943
O 0.866 0.947 0.057
O 0.382 0.164 0.195
O 0.882 0.336 0.805
O 0.618 0.836 0.805
O 0.118 0.664 0.195
O 0.843 0.279 0.141
O 0.343 0.221 0.859
O 0.157 0.721 0.859
O 0.657 0.779 0.141
O 0.900 0.425 0.196
O 0.400 0.075 0.804
O 0.100 0.575 0.804
O 0.600 0.925 0.196
O 0.902 0.274 0.392
O 0.402 0.226 0.608
O 0.098 0.726 0.608
O 0.598 0.774 0.392
O 0.129 0.420 0.064
O 0.629 0.080 0.936
O 0.871 0.580 0.936
O 0.371 0.920 0.064
O 0.132 0.105 0.089
O 0.632 0.395 0.911
O 0.868 0.895 0.911
O 0.368 0.605 0.089
O 0.110 0.105 0.405
O 0.610 0.395 0.595
O 0.890 0.895 0.595
O 0.390 0.605 0.405
O 0.389 0.270 0.043
O 0.889 0.230 0.957
O 0.611 0.730 0.957
O 0.111 0.770 0.043
O 0.498 0.476 0.330
O 0.998 0.024 0.670
O 0.502 0.524 0.670
O 0.002 0.976 0.330
O 0.886 0.453 0.349
O 0.386 0.047 0.651
O 0.114 0.547 0.651
O 0.614 0.953 0.349
O 0.570 0.342 0.293
O 0.070 0.158 0.707
O 0.430 0.658 0.707
O 0.930 0.842 0.293
```

Results
spin magnetization = 10.01 μB/f.u.
DFT total energy = -6.06 eV/atom
energy relative to the elements = -1.090 eV/atom

---

The following is a DFT calculation (PBE+U) of an optimized crystal structure of Rb2VAgF6. Values from VASP.

Geometry as Quantum ESPRESSO input:
```
&SYSTEM
  ibrav = 0, nat = 10, ntyp = 4
/
ATOMIC_SPECIES
Rb 85.47 Rb.upf
V 50.94 V.upf
Ag 107.87 Ag.upf
F 19.00 F.upf
CELL_PARAMETERS angstrom
6.246 0.000 0.000
3.123 5.409 0.000
3.123 1.803 5.100
ATOMIC_POSITIONS crystal
Rb 0.250 0.250 0.250
Rb 0.750 0.750 0.750
V 0.000 0.000 0.000
Ag 0.500 0.500 0.500
F 0.223 0.777 0.223
F 0.777 0.777 0.223
F 0.777 0.223 0.777
F 0.777 0.223 0.223
F 0.223 0.777 0.777
F 0.223 0.223 0.777
```

Results
spin magnetization = 2.00 μB/f.u.
DFT total energy = -4.80 eV/atom
energy relative to the elements = -2.707 eV/atom

---

- What is the formula in the second record?
  Cr3Fe2O15